[1]
# Li2CuSn2, optimized geometry, DFT GGA-PBE
# **DFT formation energy**: -310.1 meV per atom
data_Li2CuSn2
_symmetry_space_group_name_H-M 'P 1'
_symmetry_Int_Tables_number 1
_symmetry_space_group_name_Hall 'P 1'
_cell_length_a 10.244
_cell_length_b 10.244
_cell_length_c 10.244
_cell_angle_alpha 155.08
_cell_angle_beta 155.08
_cell_angle_gamma 35.53
loop_
_atom_site_label
_atom_site_type_symbol
_atom_site_fract_x
_atom_site_fract_y
_atom_site_fract_z
_atom_site_occupancy
Li1 Li 0.826 0.826 0.000 1
Li2 Li 0.576 0.076 0.500 1
Li3 Li 0.924 0.424 0.500 1
Li4 Li 0.174 0.174 0.000 1
Cu1 Cu 0.750 0.250 0.500 1
Cu2 Cu 0.000 0.000 0.000 1
Sn1 Sn 0.323 0.323 0.000 1
Sn2 Sn 0.073 0.573 0.500 1
Sn3 Sn 0.427 0.927 0.500 1
Sn4 Sn 0.677 0.677 0.000 1

[2]
# LuCu5, optimized geometry, DFT GGA-PBE
# **DFT formation energy**: -203.2 meV per atom
data_LuCu5
_symmetry_space_group_name_H-M 'P 1'
_symmetry_Int_Tables_number 1
_symmetry_space_group_name_Hall 'P 1'
_cell_length_a 4.932
_cell_length_b 4.932
_cell_length_c 4.932
_cell_angle_alpha 60.00
_cell_angle_beta 60.00
_cell_angle_gamma 60.00
loop_
_atom_site_label
_atom_site_type_symbol
_atom_site_fract_x
_atom_site_fract_y
_atom_site_fract_z
_atom_site_occupancy
Lu1 Lu 0.000 0.000 0.000 1
Cu1 Cu 0.128 0.624 0.624 1
Cu2 Cu 0.624 0.128 0.624 1
Cu3 Cu 0.250 0.250 0.250 1
Cu4 Cu 0.624 0.624 0.128 1
Cu5 Cu 0.624 0.624 0.624 1

[3]
# LuCu2O4, optimized geometry, DFT GGA-PBE
# **Energy with MP2020 corrections**: -0.496 Ry per atom
# **DFT formation energy**: -2099.5 meV per atom
data_LuCu2O4
_symmetry_space_group_name_H-M 'P 1'
_symmetry_Int_Tables_number 1
_symmetry_space_group_name_Hall 'P 1'
_cell_length_a 6.189
_cell_length_b 6.189
_cell_length_c 6.189
_cell_angle_alpha 126.26
_cell_angle_beta 126.26
_cell_angle_gamma 79.46
loop_
_atom_site_label
_atom_site_type_symbol
_atom_site_fract_x
_atom_site_fract_y
_atom_site_fract_z
_atom_site_occupancy
Lu1 Lu 0.000 0.000 0.000 1
Lu2 Lu 0.750 0.250 0.500 1
Cu1 Cu 0.875 0.625 0.250 1
Cu2 Cu 0.375 0.625 0.750 1
Cu3 Cu 0.375 0.125 0.750 1
Cu4 Cu 0.375 0.625 0.250 1
O1 O 0.405 0.256 0.554 1
O2 O 0.048 0.400 0.054 1
O3 O 0.006 0.952 0.351 1
O4 O 0.150 0.595 0.851 1
O5 O 0.600 0.655 0.649 1
O6 O 0.744 0.298 0.149 1
O7 O 0.702 0.850 0.446 1
O8 O 0.345 0.994 0.946 1

[4]
# Lu2CuTe2S2O14, optimized geometry, DFT GGA-PBE
# **Energy with MP2020 corrections**: -0.508 Ry per atom
# **Magnetic moment**: 1.00 Bohr magnetons per cell
# **DFT formation energy**: -2300.2 meV per atom
data_Lu2CuTe2S2O14
_symmetry_space_group_name_H-M 'P 1'
_symmetry_Int_Tables_number 1
_symmetry_space_group_name_Hall 'P 1'
_cell_length_a 5.360
_cell_length_b 8.165
_cell_length_c 8.226
_cell_angle_alpha 114.87
_cell_angle_beta 106.22
_cell_angle_gamma 96.81
loop_
_atom_site_label
_atom_site_type_symbol
_atom_site_fract_x
_atom_site_fract_y
_atom_site_fract_z
_atom_site_occupancy
Lu1 Lu 0.171 0.234 0.530 1
Lu2 Lu 0.829 0.766 0.470 1
Cu1 Cu 0.500 0.500 0.000 1
Te1 Te 0.127 0.765 0.145 1
Te2 Te 0.873 0.235 0.855 1
S1 S 0.587 0.273 0.271 1
S2 S 0.413 0.727 0.729 1
O1 O 0.384 0.182 0.322 1
O2 O 0.616 0.818 0.678 1
O3 O 0.299 0.525 0.583 1
O4 O 0.701 0.475 0.417 1
O5 O 0.812 0.182 0.280 1
O6 O 0.188 0.818 0.720 1
O7 O 0.458 0.250 0.077 1
O8 O 0.542 0.750 0.923 1
O9 O 0.886 0.574 0.153 1
O10 O 0.114 0.426 0.847 1
O11 O 0.447 0.695 0.231 1
O12 O 0.553 0.305 0.769 1
O13 O 0.126 0.925 0.392 1
O14 O 0.874 0.075 0.608 1

[5]
# Lu5CuPb3, optimized geometry, DFT GGA-PBE
# **Magnetic moment**: 0.01 Bohr magnetons per cell
# **DFT formation energy**: -426.2 meV per atom
data_Lu5CuPb3
_symmetry_space_group_name_H-M 'P 1'
_symmetry_Int_Tables_number 1
_symmetry_space_group_name_Hall 'P 1'
_cell_length_a 9.017
_cell_length_b 9.017
_cell_length_c 6.647
_cell_angle_alpha 90.00
_cell_angle_beta 90.00
_cell_angle_gamma 120.00
loop_
_atom_site_label
_atom_site_type_symbol
_atom_site_fract_x
_atom_site_fract_y
_atom_site_fract_z
_atom_site_occupancy
Lu1 Lu 0.249 0.000 0.750 1
Lu2 Lu 0.751 0.000 0.250 1
Lu3 Lu 0.000 0.249 0.750 1
Lu4 Lu 0.000 0.751 0.250 1
Lu5 Lu 0.751 0.751 0.750 1
Lu6 Lu 0.249 0.249 0.250 1
Lu7 Lu 0.333 0.667 0.500 1
Lu8 Lu 0.667 0.333 0.500 1
Lu9 Lu 0.667 0.333 0.000 1
Lu10 Lu 0.333 0.667 0.000 1
Cu1 Cu 0.000 0.000 0.500 1
Cu2 Cu 0.000 0.000 0.000 1
Pb1 Pb 0.604 0.000 0.750 1
Pb2 Pb 0.396 0.000 0.250 1
Pb3 Pb 0.000 0.604 0.750 1
Pb4 Pb 0.000 0.396 0.250 1
Pb5 Pb 0.396 0.396 0.750 1
Pb6 Pb 0.604 0.604 0.250 1

[6]
# LuCuPb, optimized geometry, DFT GGA-PBE
# **DFT formation energy**: -332.3 meV per atom
data_LuCuPb
_symmetry_space_group_name_H-M 'P 1'
_symmetry_Int_Tables_number 1
_symmetry_space_group_name_Hall 'P 1'
_cell_length_a 4.570
_cell_length_b 4.570
_cell_length_c 7.251
_cell_angle_alpha 90.00
_cell_angle_beta 90.00
_cell_angle_gamma 120.00
loop_
_atom_site_label
_atom_site_type_symbol
_atom_site_fract_x
_atom_site_fract_y
_atom_site_fract_z
_atom_site_occupancy
Lu1 Lu 0.000 0.000 0.003 1
Lu2 Lu 0.000 0.000 0.503 1
Cu1 Cu 0.667 0.333 0.669 1
Cu2 Cu 0.333 0.667 0.169 1
Pb1 Pb 0.333 0.667 0.771 1
Pb2 Pb 0.667 0.333 0.271 1

[7]
# LuCuPbSe3, optimized geometry, DFT GGA-PBE
# **Energy with MP2020 corrections**: -0.369 Ry per atom
# **Magnetic moment**: 0.01 Bohr magnetons per cell
# **DFT formation energy**: -1220.1 meV per atom
data_LuCuPbSe3
_symmetry_space_group_name_H-M 'P 1'
_symmetry_Int_Tables_number 1
_symmetry_space_group_name_Hall 'P 1'
_cell_length_a 7.091
_cell_length_b 7.091
_cell_length_c 10.456
_cell_angle_alpha 90.00
_cell_angle_beta 90.00
_cell_angle_gamma 146.94
loop_
_atom_site_label
_atom_site_type_symbol
_atom_site_fract_x
_atom_site_fract_y
_atom_site_fract_z
_atom_site_occupancy
Lu1 Lu 0.000 0.000 0.000 1
Lu2 Lu 0.000 0.000 0.500 1
Cu1 Cu 0.532 0.468 0.250 1
Cu2 Cu 0.468 0.532 0.750 1
Pb1 Pb 0.243 0.757 0.250 1
Pb2 Pb 0.757 0.243 0.750 1
Se1 Se 0.078 0.922 0.750 1
Se2 Se 0.922 0.078 0.250 1
Se3 Se 0.361 0.639 0.940 1
Se4 Se 0.639 0.361 0.440 1
Se5 Se 0.639 0.361 0.060 1
Se6 Se 0.361 0.639 0.560 1

[8]
# LuCuPbSe3, optimized geometry, DFT GGA-PBE
# **Energy with MP2020 corrections**: -0.369 Ry per atom
# **Maximum piezoelectric response**: 1.7 C/m²
# **Magnetic moment**: 0.01 Bohr magnetons per cell
# **DFT formation energy**: -1219.3 meV per atom
data_LuCuPbSe3
_symmetry_space_group_name_H-M 'P 1'
_symmetry_Int_Tables_number 1
_symmetry_space_group_name_Hall 'P 1'
_cell_length_a 7.092
_cell_length_b 7.092
_cell_length_c 10.449
_cell_angle_alpha 90.00
_cell_angle_beta 90.00
_cell_angle_gamma 146.92
loop_
_atom_site_label
_atom_site_type_symbol
_atom_site_fract_x
_atom_site_fract_y
_atom_site_fract_z
_atom_site_occupancy
Lu1 Lu 0.499 0.501 0.494 1
Lu2 Lu 0.501 0.499 0.994 1
Cu1 Cu 0.966 0.034 0.245 1
Cu2 Cu 0.034 0.966 0.745 1
Pb1 Pb 0.254 0.746 0.236 1
Pb2 Pb 0.746 0.254 0.736 1
Se1 Se 0.139 0.861 0.554 1
Se2 Se 0.139 0.861 0.935 1
Se3 Se 0.423 0.577 0.747 1
Se4 Se 0.577 0.423 0.247 1
Se5 Se 0.861 0.139 0.435 1
Se6 Se 0.861 0.139 0.054 1

[9]
# LuCuPbSe3, optimized geometry, DFT GGA-PBE
# **Energy with MP2020 corrections**: -0.369 Ry per atom
# **Magnetic moment**: 0.00 Bohr magnetons per cell
# **DFT formation energy**: -1220.6 meV per atom
data_LuCuPbSe3
_symmetry_space_group_name_H-M 'P 1'
_symmetry_Int_Tables_number 1
_symmetry_space_group_name_Hall 'P 1'
_cell_length_a 4.025
_cell_length_b 10.448
_cell_length_c 13.610
_cell_angle_alpha 90.00
_cell_angle_beta 90.00
_cell_angle_gamma 90.00
loop_
_atom_site_label
_atom_site_type_symbol
_atom_site_fract_x
_atom_site_fract_y
_atom_site_fract_z
_atom_site_occupancy
Lu1 Lu 0.750 0.493 0.252 1
Lu2 Lu 0.250 0.007 0.752 1
Lu3 Lu 0.750 0.993 0.248 1
Lu4 Lu 0.250 0.507 0.748 1
Cu1 Cu 0.250 0.745 0.218 1
Cu2 Cu 0.750 0.255 0.782 1
Cu3 Cu 0.250 0.245 0.282 1
Cu4 Cu 0.750 0.755 0.718 1
Pb1 Pb 0.750 0.741 0.008 1
Pb2 Pb 0.750 0.241 0.492 1
Pb3 Pb 0.250 0.759 0.508 1
Pb4 Pb 0.250 0.259 0.992 1
Se1 Se 0.250 0.755 0.828 1
Se2 Se 0.750 0.446 0.887 1
Se3 Se 0.750 0.568 0.610 1
Se4 Se 0.250 0.432 0.390 1
Se5 Se 0.250 0.255 0.672 1
Se6 Se 0.750 0.946 0.613 1
Se7 Se 0.750 0.745 0.328 1
Se8 Se 0.250 0.554 0.113 1
Se9 Se 0.250 0.932 0.110 1
Se10 Se 0.250 0.054 0.387 1
Se11 Se 0.750 0.245 0.172 1
Se12 Se 0.750 0.068 0.890 1

[10]
# Lu2CuRh, optimized geometry, DFT GGA-PBE
# **DFT formation energy**: -648.6 meV per atom
data_Lu2CuRh
_symmetry_space_group_name_H-M 'P 1'
_symmetry_Int_Tables_number 1
_symmetry_space_group_name_Hall 'P 1'
_cell_length_a 4.779
_cell_length_b 4.779
_cell_length_c 4.779
_cell_angle_alpha 60.00
_cell_angle_beta 60.00
_cell_angle_gamma 60.00
loop_
_atom_site_label
_atom_site_type_symbol
_atom_site_fract_x
_atom_site_fract_y
_atom_site_fract_z
_atom_site_occupancy
Lu1 Lu 0.250 0.250 0.250 1
Lu2 Lu 0.750 0.750 0.750 1
Cu1 Cu 0.500 0.500 0.500 1
Rh1 Rh 0.000 0.000 0.000 1

[11]
# LuCu3S3, optimized geometry, DFT GGA-PBE
# **Excess energy over the best structure of this formula in the dataset**: 0 meV/atom
# **Energy with MP2020 corrections**: -0.384 Ry per atom
# **DFT formation energy**: -1052.8 meV per atom
data_LuCu3S3
_symmetry_space_group_name_H-M 'P 1'
_symmetry_Int_Tables_number 1
_symmetry_space_group_name_Hall 'P 1'
_cell_length_a 7.352
_cell_length_b 7.352
_cell_length_c 7.352
_cell_angle_alpha 53.71
_cell_angle_beta 53.71
_cell_angle_gamma 53.71
loop_
_atom_site_label
_atom_site_type_symbol
_atom_site_fract_x
_atom_site_fract_y
_atom_site_fract_z
_atom_site_occupancy
Lu1 Lu 0.833 0.833 0.833 1
Lu2 Lu 0.167 0.167 0.167 1
Cu1 Cu 0.288 0.960 0.624 1
Cu2 Cu 0.624 0.288 0.960 1
Cu3 Cu 0.960 0.624 0.288 1
Cu4 Cu 0.040 0.376 0.712 1
Cu5 Cu 0.376 0.712 0.040 1
Cu6 Cu 0.712 0.040 0.376 1
S1 S 0.083 0.753 0.420 1
S2 S 0.753 0.420 0.083 1
S3 S 0.420 0.083 0.753 1
S4 S 0.580 0.917 0.247 1
S5 S 0.247 0.580 0.917 1
S6 S 0.917 0.247 0.580 1

[12]
# LuCuS2, optimized geometry, DFT GGA-PBE
# **Energy with MP2020 corrections**: -0.429 Ry per atom
# **DFT formation energy**: -1615.9 meV per atom
data_LuCuS2
_symmetry_space_group_name_H-M 'P 1'
_symmetry_Int_Tables_number 1
_symmetry_space_group_name_Hall 'P 1'
_cell_length_a 3.894
_cell_length_b 6.203
_cell_length_c 13.152
_cell_angle_alpha 90.00
_cell_angle_beta 90.00
_cell_angle_gamma 90.00
loop_
_atom_site_label
_atom_site_type_symbol
_atom_site_fract_x
_atom_site_fract_y
_atom_site_fract_z
_atom_site_occupancy
Lu1 Lu 0.250 0.503 0.134 1
Lu2 Lu 0.750 0.497 0.866 1
Lu3 Lu 0.750 0.003 0.366 1
Lu4 Lu 0.250 0.997 0.634 1
Cu1 Cu 0.250 0.121 0.954 1
Cu2 Cu 0.750 0.621 0.546 1
Cu3 Cu 0.750 0.879 0.046 1
Cu4 Cu 0.250 0.379 0.454 1
S1 S 0.250 0.265 0.793 1
S2 S 0.750 0.735 0.207 1
S3 S 0.750 0.765 0.707 1
S4 S 0.250 0.235 0.293 1
S5 S 0.250 0.741 0.959 1
S6 S 0.250 0.759 0.459 1
S7 S 0.750 0.241 0.541 1
S8 S 0.750 0.259 0.041 1